Li4MnCo2O7: relaxed, PBE with a Hubbard U.

## Properties
M_tot   10.0 μB per cell
Space-group type   No. 1
Crystal system   triclinic

abc: 5.1354 7.6607 7.7107
angles: 61.02 70.92 83.36
Fractional positions:
Li 0.0000 0.0000 0.0000
Li 0.0010 0.2821 0.5718
Li 0.0016 0.8522 0.7209
Li 0.0045 0.1381 0.2871
Li 0.0168 0.5732 0.1301
Li 0.5074 0.6423 0.7842
Li 0.9942 0.7134 0.4341
Li 0.9965 0.4418 0.8496
Mn 0.4984 0.9243 0.3612
Mn 0.5030 0.4993 0.4999
Co 0.4907 0.0541 0.6530
Co 0.5018 0.2213 0.9241
Co 0.5041 0.3554 0.2131
Co 0.5151 0.7784 0.0594
O 0.2625 0.8381 0.8879
O 0.2648 0.0878 0.4652
O 0.2711 0.2701 0.7327
O 0.2789 0.6824 0.5836
O 0.2820 0.3788 0.0458
O 0.2830 0.5272 0.3175
O 0.2860 0.9550 0.1782
O 0.7132 0.3237 0.3954
O 0.7224 0.1674 0.1262
O 0.7250 0.7419 0.2695
O 0.7293 0.9035 0.5217
O 0.7311 0.4591 0.6675
O 0.7329 0.0407 0.8248
O 0.7500 0.6157 0.9676

Li7Mn4CoO12: relaxed, PBE with a Hubbard U.

## Properties
M_tot   16.0 μB per cell
Space-group type   No. 1
Crystal system   triclinic

abc: 5.0348 5.0351 9.8811
angles: 78.70 86.99 62.50
Fractional positions:
Li 0.0000 0.0000 0.0000
Li 0.0006 0.4999 0.5118
Li 0.3359 0.8258 0.5163
Li 0.3410 0.3402 0.0039
Li 0.6702 0.4152 0.7581
Li 0.6729 0.6636 0.0044
Li 0.6767 0.1678 0.5123
Mn 0.0048 0.2495 0.2575
Mn 0.3380 0.5823 0.2590
Mn 0.3391 0.0842 0.7581
Mn 0.6706 0.9166 0.2579
Co 0.0020 0.7471 0.7581
O 0.0278 0.0933 0.6471
O 0.0281 0.5978 0.1407
O 0.0396 0.3748 0.8657
O 0.3024 0.4653 0.6488
O 0.3114 0.7358 0.8692
O 0.3149 0.2335 0.3764
O 0.3626 0.9309 0.1406
O 0.6477 0.5659 0.3791
O 0.6658 0.8202 0.6506
O 0.6837 0.0113 0.8674
O 0.6946 0.2669 0.1370
O 0.9790 0.9017 0.3752

Li7Mn4CoO12: relaxed, PBE with a Hubbard U.

## Properties
M_tot   18.0 μB per cell
Space-group type   No. 6
Crystal system   monoclinic

abc: 5.8835 2.8774 13.3098
angles: 90.00 102.51 90.00
Fractional positions:
Li 0.0000 0.0000 0.0000
Li 0.0030 0.5000 0.5236
Li 0.3336 0.0000 0.6811
Li 0.3454 0.5000 0.1846
Li 0.6697 0.5000 0.8247
Li 0.6771 0.0000 0.3604
Li 0.8474 0.0000 0.6777
Mn 0.1618 0.5000 0.8304
Mn 0.1835 0.0000 0.3532
Mn 0.5031 0.0000 0.0032
Mn 0.8396 0.5000 0.1794
Co 0.5359 0.5000 0.5390
O 0.0725 0.0000 0.1863
O 0.0949 0.5000 0.6917
O 0.2704 0.0000 0.4977
O 0.2706 0.5000 0.9976
O 0.3911 0.0000 0.8381
O 0.3935 0.5000 0.3390
O 0.5833 0.5000 0.6748
O 0.6127 0.0000 0.1790
O 0.7327 0.5000 0.0074
O 0.7438 0.0000 0.5130
O 0.9501 0.0000 0.8435
O 0.9592 0.5000 0.3498

Li3MnCoO5: relaxed, PBE with a Hubbard U.

## Properties
M_tot   14.0 μB per cell
Space-group type   No. 2
Crystal system   triclinic

abc: 3.0290 6.4026 9.8657
angles: 79.65 85.26 76.59
Fractional positions:
Li 0.0000 0.0000 0.0000
Li 0.0923 0.8082 0.2991
Li 0.3041 0.3957 0.9038
Li 0.5000 0.0000 0.5000
Li 0.6959 0.6043 0.0962
Li 0.9077 0.1918 0.7009
Mn 0.2015 0.6016 0.6033
Mn 0.7985 0.3984 0.3967
Co 0.3979 0.1921 0.1893
Co 0.6021 0.8079 0.8107
O 0.0341 0.8846 0.6570
O 0.1663 0.7096 0.9377
O 0.2393 0.4761 0.2491
O 0.3694 0.3139 0.5472
O 0.4568 0.0742 0.8429
O 0.5432 0.9258 0.1571
O 0.6306 0.6861 0.4528
O 0.7607 0.5239 0.7509
O 0.8337 0.2904 0.0623
O 0.9659 0.1154 0.3430

Li7Mn2Co3O12: relaxed, PBE with a Hubbard U.

## Properties
M_tot   10.0 μB per cell
Space-group type   No. 8
Crystal system   monoclinic

abc: 7.8281 7.8281 9.8226
angles: 99.40 99.40 21.24
Fractional positions:
Li 0.0000 0.0000 0.0000
Li 0.1774 0.1774 0.5305
Li 0.3226 0.3226 0.9923
Li 0.5023 0.5023 0.5160
Li 0.6607 0.6607 0.0036
Li 0.7500 0.7500 0.7576
Li 0.8298 0.8298 0.5213
Mn 0.4117 0.4117 0.7542
Mn 0.9156 0.9156 0.2588
Co 0.0948 0.0948 0.7666
Co 0.2470 0.2470 0.2606
Co 0.5853 0.5853 0.2592
O 0.0337 0.0337 0.3679
O 0.1188 0.1188 0.1390
O 0.1986 0.1986 0.8832
O 0.3016 0.3016 0.6434
O 0.3817 0.3817 0.3711
O 0.4525 0.4525 0.1480
O 0.5351 0.5351 0.8645
O 0.6195 0.6195 0.6426
O 0.7057 0.7057 0.3756
O 0.7969 0.7969 0.1525
O 0.8799 0.8799 0.8715
O 0.9540 0.9540 0.6481

Li7Mn2Co3O12: relaxed, PBE with a Hubbard U.

## Properties
M_tot   0.1 μB per cell
Space-group type   No. 1
Crystal system   triclinic

abc: 3.0095 5.0183 14.6520
angles: 82.27 85.11 88.49
Fractional positions:
Li 0.0000 0.0000 0.0000
Li 0.0707 0.4098 0.8423
Li 0.1431 0.8227 0.6833
Li 0.3171 0.6583 0.3469
Li 0.4916 0.4893 0.9997
Li 0.6569 0.3326 0.6829
Li 0.8165 0.1570 0.3470
Mn 0.4064 0.0767 0.1752
Mn 0.9065 0.5766 0.1755
Co 0.2352 0.2427 0.5125
Co 0.5710 0.9099 0.8423
Co 0.7350 0.7427 0.5128
O 0.0472 0.7255 0.9144
O 0.0946 0.0940 0.7709
O 0.2048 0.5283 0.5901
O 0.2672 0.9571 0.4344
O 0.3292 0.3639 0.2540
O 0.4813 0.7860 0.0991
O 0.5309 0.1684 0.9172
O 0.6112 0.6526 0.7680
O 0.7067 0.0320 0.5876
O 0.7670 0.4584 0.4347
O 0.8282 0.8646 0.2545
O 0.9831 0.2905 0.0963

Li3MnCoO5: relaxed, PBE with a Hubbard U.

## Properties
M_tot   13.3 μB per cell
Space-group type   No. 8
Crystal system   monoclinic

abc: 2.9954 2.9954 24.4842
angles: 91.20 91.20 57.20
Fractional positions:
Li 0.0000 0.0000 0.0000
Li 0.1945 0.1945 0.5989
Li 0.4010 0.4010 0.2021
Li 0.5005 0.5005 0.5028
Li 0.5985 0.5985 0.8004
Li 0.8104 0.8104 0.4084
Mn 0.1042 0.1042 0.3020
Mn 0.7002 0.7002 0.1015
Co 0.3015 0.3015 0.9012
Co 0.8985 0.8985 0.7027
O 0.0743 0.0743 0.1487
O 0.1487 0.1487 0.4514
O 0.2648 0.2648 0.7474
O 0.3271 0.3271 0.0549
O 0.4644 0.4644 0.3455
O 0.5406 0.5406 0.6611
O 0.6464 0.6464 0.9472
O 0.7351 0.7351 0.2548
O 0.8531 0.8531 0.5545
O 0.9571 0.9571 0.8561

Li2MnCoO4: relaxed, PBE with a Hubbard U.

## Properties
M_tot   16.0 μB per cell
Space-group type   No. 2
Crystal system   triclinic

abc: 2.9800 6.6527 7.7941
angles: 90.60 96.34 102.77
Fractional positions:
Li 0.0000 0.0000 0.0000
Li 0.0000 0.5000 0.5000
Li 0.4996 0.2497 0.7494
Li 0.5004 0.7503 0.2506
Mn 0.2434 0.6219 0.8723
Mn 0.7566 0.3781 0.1277
Co 0.2537 0.1288 0.3782
Co 0.7463 0.8712 0.6218
O 0.1062 0.3258 0.9415
O 0.1302 0.8250 0.4502
O 0.3762 0.9219 0.8025
O 0.3987 0.4294 0.3073
O 0.6013 0.5706 0.6927
O 0.6238 0.0781 0.1975
O 0.8698 0.1750 0.5498
O 0.8938 0.6742 0.0585

Li3MnCoO5: relaxed, PBE with a Hubbard U.

## Properties
M_tot   11.5 μB per cell
Space-group type   No. 166
Crystal system   trigonal

abc: 24.3664 24.3664 24.3664
angles: 6.95 6.95 6.95
Fractional positions:
Li 0.0000 0.0000 0.0000
Li 0.1017 0.1017 0.1017
Li 0.3038 0.3038 0.3038
Li 0.5000 0.5000 0.5000
Li 0.6962 0.6962 0.6962
Li 0.8983 0.8983 0.8983
Mn 0.4000 0.4000 0.4000
Mn 0.6000 0.6000 0.6000
Co 0.1999 0.1999 0.1999
Co 0.8001 0.8001 0.8001
O 0.0525 0.0525 0.0525
O 0.1481 0.1481 0.1481
O 0.2514 0.2514 0.2514
O 0.3503 0.3503 0.3503
O 0.4517 0.4517 0.4517
O 0.5483 0.5483 0.5483
O 0.6497 0.6497 0.6497
O 0.7486 0.7486 0.7486
O 0.8519 0.8519 0.8519
O 0.9475 0.9475 0.9475

Li7Mn2Co3O12: relaxed, PBE with a Hubbard U.

## Properties
M_tot   6.0 μB per cell
Space-group type   No. 2
Crystal system   triclinic

abc: 2.9030 5.1308 14.4685
angles: 90.01 91.81 90.55
Fractional positions:
Li 0.0000 0.0000 0.0000
Li 0.0000 0.0000 0.5000
Li 0.0055 0.3278 0.1614
Li 0.4983 0.8294 0.6663
Li 0.5000 0.5000 0.0000
Li 0.5017 0.1706 0.3337
Li 0.9945 0.6722 0.8386
Mn 0.4944 0.1533 0.8391
Mn 0.5056 0.8467 0.1609
Co 0.0079 0.6671 0.3324
Co 0.5000 0.5000 0.5000
Co 0.9921 0.3329 0.6676
O 0.0066 0.3153 0.9064
O 0.0172 0.3487 0.4204
O 0.0180 0.9794 0.2418
O 0.4742 0.4714 0.7473
O 0.4904 0.8199 0.4122
O 0.4974 0.1426 0.0915
O 0.5026 0.8574 0.9085
O 0.5096 0.1801 0.5878
O 0.5258 0.5286 0.2527
O 0.9820 0.0207 0.7582
O 0.9828 0.6513 0.5796
O 0.9934 0.6847 0.0936

Li7Mn2Co3O12: relaxed, PBE with a Hubbard U.

## Properties
M_tot   8.0 μB per cell
Space-group type   No. 1
Crystal system   triclinic

abc: 2.9305 5.0619 14.9953
angles: 96.32 94.33 104.59
Fractional positions:
Li 0.0000 0.0000 0.0000
Li 0.0060 0.7591 0.2528
Li 0.2989 0.5694 0.0754
Li 0.3292 0.0829 0.5868
Li 0.6620 0.9072 0.4223
Li 0.6759 0.4155 0.9238
Li 0.9926 0.2380 0.7540
Mn 0.3195 0.3254 0.3374
Mn 0.6512 0.1620 0.1624
Co 0.0025 0.4953 0.5045
Co 0.3199 0.8278 0.8408
Co 0.6707 0.6679 0.6700
O 0.0100 0.3900 0.6252
O 0.0214 0.6081 0.3834
O 0.0231 0.9089 0.1317
O 0.2920 0.4218 0.2117
O 0.3077 0.2212 0.4608
O 0.3223 0.9326 0.7160
O 0.3246 0.7031 0.9479
O 0.6240 0.0492 0.2906
O 0.6676 0.2906 0.0539
O 0.6858 0.5753 0.7951
O 0.6967 0.7681 0.5478
O 0.9600 0.0735 0.8706

Li4Mn3CoO8: relaxed, PBE with a Hubbard U.

## Properties
M_tot   0.0 μB per cell
Space-group type   No. 2
Crystal system   triclinic

abc: 5.0587 5.0960 6.1445
angles: 92.23 93.65 106.09
Fractional positions:
Li 0.0000 0.0000 0.0000
Li 0.0000 0.0000 0.5000
Li 0.4914 0.9980 0.2514
Li 0.5086 0.0020 0.7486
Mn 0.0023 0.5080 0.7493
Mn 0.5000 0.5000 0.0000
Mn 0.9977 0.4920 0.2507
Co 0.5000 0.5000 0.5000
O 0.2366 0.2574 0.2544
O 0.2517 0.7321 0.9879
O 0.2531 0.7262 0.4854
O 0.2601 0.2818 0.7505
O 0.7399 0.7182 0.2495
O 0.7469 0.2738 0.5146
O 0.7483 0.2679 0.0121
O 0.7634 0.7426 0.7456

Li4MnCo2O7: relaxed, PBE with a Hubbard U.

## Properties
M_tot   14.0 μB per cell
Space-group type   No. 12
Crystal system   monoclinic

abc: 9.9618 9.9618 9.8518
angles: 114.82 114.82 16.76
Fractional positions:
Li 0.0000 0.0000 0.0000
Li 0.0637 0.0637 0.7789
Li 0.2088 0.2088 0.3630
Li 0.3727 0.3727 0.9312
Li 0.5000 0.5000 0.5000
Li 0.6273 0.6273 0.0688
Li 0.7912 0.7912 0.6370
Li 0.9363 0.9363 0.2211
Mn 0.2854 0.2854 0.1445
Mn 0.7146 0.7146 0.8555
Co 0.1420 0.1420 0.5620
Co 0.4372 0.4372 0.7331
Co 0.5628 0.5628 0.2669
Co 0.8580 0.8580 0.4380
O 0.0410 0.0410 0.3966
O 0.1057 0.1057 0.1881
O 0.1874 0.1874 0.9600
O 0.2474 0.2474 0.7690
O 0.3232 0.3232 0.5299
O 0.3810 0.3810 0.3116
O 0.4685 0.4685 0.1194
O 0.5315 0.5315 0.8806
O 0.6190 0.6190 0.6884
O 0.6768 0.6768 0.4701
O 0.7526 0.7526 0.2310
O 0.8126 0.8126 0.0400
O 0.8943 0.8943 0.8119
O 0.9590 0.9590 0.6034

Li4MnCo2O7: relaxed, PBE with a Hubbard U.

## Properties
M_tot   6.0 μB per cell
Space-group type   No. 2
Crystal system   triclinic

abc: 5.0419 5.1667 10.0991
angles: 98.82 100.03 100.52
Fractional positions:
Li 0.0000 0.0000 0.0000
Li 0.0000 0.0000 0.5000
Li 0.1283 0.2829 0.2895
Li 0.2727 0.5784 0.5730
Li 0.4215 0.8569 0.8580
Li 0.5785 0.1431 0.1420
Li 0.7273 0.4216 0.4270
Li 0.8717 0.7171 0.7105
Mn 0.4318 0.8655 0.3600
Mn 0.5682 0.1345 0.6400
Co 0.1398 0.2736 0.7793
Co 0.2816 0.5695 0.0720
Co 0.7184 0.4305 0.9280
Co 0.8602 0.7264 0.2207
O 0.0619 0.6353 0.9003
O 0.0791 0.6545 0.3796
O 0.2217 0.9239 0.1881
O 0.2359 0.9446 0.6799
O 0.3603 0.2323 0.9589
O 0.3781 0.1904 0.4672
O 0.4875 0.4573 0.7445
O 0.5125 0.5427 0.2555
O 0.6219 0.8096 0.5328
O 0.6397 0.7677 0.0411
O 0.7641 0.0554 0.3201
O 0.7783 0.0761 0.8119
O 0.9209 0.3455 0.6204
O 0.9381 0.3647 0.0997

These records have energy above the lowest structure with this stoichiometry values of 0.43; 0.95; 1.36; 0.89; 1.78; 6.46; 2.03; 0.49; 2.07; 1.07; 1.44; 0.05; 1.10; 0.10 eV per formula unit, in the order they appear.
These records have volume values of 250.45; 217.68; 219.97; 182.92; 215.06; 218.45; 184.60; 149.68; 183.73; 215.39; 212.72; 151.63; 255.27; 250.00 Å³ per cell, in the order they appear.
These records have ΔH_f (0 K) values of -1.853; -2.045; -2.027; -1.871; -1.859; -1.664; -1.757; -1.874; -1.753; -1.889; -1.873; -2.025; -1.805; -1.877 eV per atom, in the order they appear.